## Ag3TeP2O14 (PBE-GGA)

Data for a relaxed Ag3TeP2O14 crystal.

E_form   -20.8 eV per formula unit
Spin magnetization   7.81 μB per cell
Raw total energy   -5.1460 eV per atom

a b c (Å): 7.8593 7.8593 10.1734
angles (deg): 90.00 90.00 120.00
Positions (direct):
1 Ag 0.0462 0.5231 0.2500
2 Ag 0.4769 0.5231 0.2500
3 Ag 0.4769 0.9538 0.2500
4 Ag 0.5231 0.0462 0.7500
5 Ag 0.5231 0.4769 0.7500
6 Ag 0.9538 0.4769 0.7500
7 Te 0.0000 0.0000 0.2500
8 Te 0.0000 0.0000 0.7500
9 P 0.3333 0.6667 0.5426
10 P 0.3333 0.6667 0.9574
11 P 0.6667 0.3333 0.0426
12 P 0.6667 0.3333 0.4574
13 O 0.0348 0.2336 0.1582
14 O 0.0348 0.8011 0.3418
15 O 0.1422 0.4868 0.5920
16 O 0.1422 0.6554 0.9080
17 O 0.1989 0.2336 0.3418
18 O 0.1989 0.9652 0.1582
19 O 0.2336 0.0348 0.8418
20 O 0.2336 0.1989 0.6582
21 O 0.3333 0.6667 0.1129
22 O 0.3333 0.6667 0.3871
23 O 0.3446 0.4868 0.9080
24 O 0.3446 0.8578 0.5920
25 O 0.4868 0.1422 0.4080
26 O 0.4868 0.3446 0.0920
27 O 0.5132 0.6554 0.5920
28 O 0.5132 0.8578 0.9080
29 O 0.6554 0.1422 0.0920
30 O 0.6554 0.5132 0.4080
31 O 0.6667 0.3333 0.6129
32 O 0.6667 0.3333 0.8871
33 O 0.7664 0.8011 0.1582
34 O 0.7664 0.9652 0.3418
35 O 0.8011 0.0348 0.6582
36 O 0.8011 0.7664 0.8418
37 O 0.8578 0.3446 0.4080
38 O 0.8578 0.5132 0.0920
39 O 0.9652 0.1989 0.8418
40 O 0.9652 0.7664 0.6582